Entry 1:
Material: CoH2Cl2O
Method: DFT, PBE with a Hubbard U
State: optimized geometry

a b c (Å): 3.5747 8.8809 11.4753
angles (deg): 90.00 90.01 89.99
Fractional coordinates of all 24 atoms:
Co 0.7500 0.8207 0.5187
Co 0.2500 0.1793 0.4813
Co 0.7500 0.3206 0.9813
Co 0.2500 0.6794 0.0187
H 0.7500 0.1911 0.7684
H 0.7500 0.6911 0.7314
H 0.2500 0.8089 0.2316
H 0.2501 0.3089 0.2686
H 0.7500 0.0549 0.8612
H 0.7499 0.5549 0.6387
H 0.2500 0.9451 0.1388
H 0.2501 0.4451 0.3613
Cl 0.2499 0.1941 0.0912
Cl 0.2501 0.6941 0.4088
Cl 0.7501 0.8059 0.9088
Cl 0.7500 0.3059 0.5912
Cl 0.7499 0.5343 0.1226
Cl 0.7501 0.0343 0.3775
Cl 0.2500 0.4657 0.8774
Cl 0.2498 0.9657 0.6225
O 0.7501 0.1649 0.8519
O 0.7500 0.6648 0.6481
O 0.2499 0.8351 0.1481
O 0.2500 0.3352 0.3519

Results
Total magnetic moment ... 0.000 μB per formula unit
VASP energy ... -104.43 eV/cell
Energy relative to the elements ... -0.98 eV per atom

Entry 2:
Material: CoH4Cl2O2
Method: DFT, PBE with a Hubbard U
State: optimized geometry

a b c (Å): 3.6035 5.6861 5.6861
angles (deg): 97.47 96.91 96.91
Fractional coordinates of all 9 atoms:
Co 0.0000 0.0000 0.0000
H 0.8452 0.2160 0.6028
H 0.1548 0.3972 0.7840
H 0.8452 0.6028 0.2160
H 0.1548 0.7840 0.3972
Cl 0.5832 0.2352 0.2352
Cl 0.4168 0.7648 0.7648
O 0.0000 0.7614 0.2386
O 0.0000 0.2386 0.7614

Results
Total magnetic moment ... 3.000 μB per formula unit
VASP energy ... -41.17 eV/cell
Energy relative to the elements ... -1.10 eV per atom

Entry 3:
Material: CoPH4ClO3
Method: DFT, PBE with a Hubbard U
State: optimized geometry

a b c (Å): 7.4661 9.5619 13.4035
angles (deg): 90.00 90.00 90.00
Fractional coordinates of all 80 atoms:
Co 0.6185 0.3548 0.5012
Co 0.1185 0.6452 0.9988
Co 0.3815 0.1452 0.0012
Co 0.8815 0.8548 0.4988
Co 0.3815 0.6452 0.4988
Co 0.8815 0.3548 0.0012
Co 0.6185 0.8548 0.9988
Co 0.1185 0.1452 0.5012
P 0.7251 0.1101 0.1514
P 0.2251 0.8899 0.3486
P 0.2749 0.3899 0.6514
P 0.7749 0.6101 0.8486
P 0.2749 0.8899 0.8486
P 0.7749 0.1101 0.6514
P 0.7251 0.6101 0.3486
P 0.2251 0.3899 0.1514
H 0.7988 0.0101 0.2168
H 0.2988 0.9899 0.2832
H 0.2012 0.4899 0.7168
H 0.7012 0.5101 0.7832
H 0.2012 0.9899 0.7832
H 0.7012 0.0101 0.7168
H 0.7988 0.5101 0.2832
H 0.2988 0.4899 0.2168
H 0.6319 0.2070 0.2116
H 0.1319 0.7930 0.2884
H 0.3681 0.2930 0.7116
H 0.8681 0.7070 0.7884
H 0.3681 0.7930 0.7884
H 0.8681 0.2070 0.7116
H 0.6319 0.7070 0.2884
H 0.1319 0.2930 0.2116
H 0.0715 0.0769 0.0889
H 0.5715 0.9231 0.4111
H 0.9285 0.4231 0.5889
H 0.4285 0.5769 0.9111
H 0.9285 0.9231 0.9111
H 0.4285 0.0769 0.5889
H 0.0715 0.5769 0.4111
H 0.5715 0.4231 0.0889
H 0.2062 0.9433 0.0947
H 0.7062 0.0567 0.4053
H 0.7938 0.5567 0.5947
H 0.2938 0.4433 0.9053
H 0.7938 0.0567 0.9053
H 0.2938 0.9433 0.5947
H 0.2062 0.4433 0.4053
H 0.7062 0.5567 0.0947
Cl 0.3752 0.2378 0.4009
Cl 0.8752 0.7622 0.0991
Cl 0.6248 0.2622 0.9009
Cl 0.1248 0.7378 0.5991
Cl 0.6248 0.7622 0.5991
Cl 0.1248 0.2378 0.9009
Cl 0.3752 0.7378 0.0991
Cl 0.8752 0.2622 0.4009
O 0.5844 0.0364 0.0856
O 0.0844 0.9636 0.4144
O 0.4156 0.4636 0.5856
O 0.9156 0.5364 0.9144
O 0.4156 0.9636 0.9144
O 0.9156 0.0364 0.5856
O 0.5844 0.5364 0.4144
O 0.0844 0.4636 0.0856
O 0.1981 0.0458 0.0955
O 0.6981 0.9542 0.4045
O 0.8019 0.4542 0.5955
O 0.3019 0.5458 0.9045
O 0.8019 0.9542 0.9045
O 0.3019 0.0458 0.5955
O 0.1981 0.5458 0.4045
O 0.6981 0.4542 0.0955
O 0.8805 0.1809 0.0962
O 0.3805 0.8191 0.4038
O 0.1195 0.3191 0.5962
O 0.6195 0.6809 0.9038
O 0.1195 0.8191 0.9038
O 0.6195 0.1809 0.5962
O 0.8805 0.6809 0.4038
O 0.3805 0.3191 0.0962

Results
Total magnetic moment ... 3.001 μB per formula unit
VASP energy ... -409.18 eV/cell
Energy relative to the elements ... -1.21 eV per atom

The lowest energy relative to the elements belongs to which entry?
CoPH4ClO3